Sb2MoSe | PBE | optimized geometry

Cell lengths 6.670, 6.577, 18.753 Å; angles 90.00, 94.29, 90.00 degrees
Atoms (fractional coordinates):
Sb  0.074  0.125  0.074
Sb  0.074  0.375  0.574
Sb  0.074  0.625  0.074
Sb  0.074  0.875  0.574
Sb  0.199  0.098  0.226
Sb  0.199  0.402  0.726
Sb  0.200  0.651  0.226
Sb  0.200  0.849  0.726
Sb  0.800  0.151  0.274
Sb  0.800  0.349  0.774
Sb  0.801  0.598  0.274
Sb  0.801  0.902  0.774
Sb  0.926  0.125  0.426
Sb  0.926  0.375  0.926
Sb  0.926  0.625  0.426
Sb  0.926  0.875  0.926
Mo  0.326  0.124  0.495
Mo  0.326  0.376  0.995
Mo  0.326  0.625  0.495
Mo  0.326  0.875  0.995
Mo  0.674  0.125  0.005
Mo  0.674  0.375  0.505
Mo  0.674  0.624  0.005
Mo  0.674  0.876  0.505
Se  0.412  0.126  0.901
Se  0.412  0.374  0.401
Se  0.412  0.625  0.901
Se  0.412  0.875  0.401
Se  0.588  0.125  0.599
Se  0.588  0.375  0.099
Se  0.588  0.626  0.599
Se  0.588  0.874  0.099

Summary:
ΔH_f (0 K): -0.389 eV per atom
Total energy after the MP2020 corrections: -6.0386 eV/atom
Calculated density: 6.78 Mg/m³
Volume: 820.3 Å³ per cell

=====

Sc3Si3Mo2 | PBE | optimized geometry

Cell lengths 5.423, 7.564, 7.564 Å; angles 118.57, 90.00, 90.00 degrees
Atoms (fractional coordinates):
Sc  0.000  0.117  0.883
Sc  0.000  0.883  0.117
Sc  0.253  0.216  0.552
Sc  0.253  0.552  0.216
Sc  0.747  0.216  0.552
Sc  0.747  0.552  0.216
Si  0.000  0.283  0.283
Si  0.000  0.492  0.875
Si  0.000  0.875  0.492
Si  0.500  0.262  0.884
Si  0.500  0.503  0.503
Si  0.500  0.884  0.262
Mo  0.000  0.618  0.618
Mo  0.500  0.161  0.161
Mo  0.500  0.622  0.882
Mo  0.500  0.882  0.622

Summary:
ΔH_f (0 K): -0.446 eV per atom
Total moment: 0.002 μB per atom
Calculated density: 5.01 Mg/m³
Volume: 272.5 Å³ per cell